Entry 1:
VASP calculation (PBE-GGA) on a relaxed SrCaDyBiO6 crystal.

Geometry as POSCAR:
```
SrCaDyBiO6
1.0
5.125 -3.013 0.000
5.125 3.013 0.000
-3.383 0.000 4.873
Sr Ca Dy Bi O
1 1 1 1 6
direct
0.000 0.000 0.000
0.499 0.499 0.445
0.249 0.249 0.728
0.749 0.749 0.228
0.071 0.560 0.063
0.445 0.919 0.413
0.509 0.509 0.859
0.560 0.071 0.063
0.919 0.445 0.413
0.991 0.991 0.577
```

The calculation puts the total DFT energy (no corrections) at -6.6093 eV per atom. For the volume, the calculation gives 15.05 Å³ per atom. The relative energy among the computed polymorphs is 0.00 eV/f.u. For the formation energy, the calculation gives -28.3 eV/f.u.

---

Entry 2:
VASP calculation (PBE-GGA) on a relaxed SrCaDyBiO6 crystal.

Geometry as POSCAR:
```
SrCaDyBiO6
1.0
8.466 0.000 0.000
0.000 8.470 0.000
0.000 0.000 8.473
Sr Ca Dy Bi O
4 4 4 4 24
direct
0.000 0.000 0.000
0.000 0.000 0.500
0.500 0.000 0.000
0.500 0.500 0.500
0.000 0.500 0.000
0.000 0.500 0.500
0.500 0.000 0.500
0.500 0.500 0.000
0.250 0.252 0.250
0.250 0.748 0.750
0.750 0.252 0.750
0.750 0.748 0.250
0.250 0.253 0.750
0.250 0.747 0.250
0.750 0.253 0.250
0.750 0.747 0.750
0.007 0.216 0.799
0.007 0.784 0.201
0.195 0.494 0.704
0.195 0.506 0.296
0.217 0.203 0.506
0.217 0.797 0.494
0.293 0.007 0.786
0.293 0.307 0.993
0.293 0.693 0.007
0.293 0.993 0.214
0.494 0.286 0.704
0.494 0.714 0.296
0.506 0.286 0.296
0.506 0.714 0.704
0.707 0.007 0.214
0.707 0.307 0.007
0.707 0.693 0.993
0.707 0.993 0.786
0.783 0.203 0.494
0.783 0.797 0.506
0.805 0.494 0.296
0.805 0.506 0.704
0.993 0.216 0.201
0.993 0.784 0.799
```

The calculation puts the total DFT energy (no corrections) at -6.5633 eV per atom. For the volume, the calculation gives 15.19 Å³ per atom. The relative energy among the computed polymorphs is 0.46 eV/f.u. For the formation energy, the calculation gives -27.9 eV/f.u.

---

Entry 3:
VASP calculation (PBE-GGA) on a relaxed CaBiF5 crystal.

Geometry as POSCAR:
```
CaBiF5
1.0
6.025 0.000 0.000
0.000 11.078 0.000
-2.836 0.000 7.862
Ca Bi F
4 4 20
direct
0.023 0.012 0.251
0.023 0.488 0.751
0.977 0.512 0.249
0.977 0.988 0.749
0.398 0.247 0.602
0.398 0.253 0.102
0.602 0.747 0.898
0.602 0.753 0.398
0.100 0.107 0.567
0.100 0.393 0.067
0.127 0.103 0.989
0.127 0.397 0.489
0.293 0.629 0.352
0.293 0.871 0.852
0.300 0.179 0.328
0.300 0.321 0.828
0.360 0.589 0.803
0.360 0.911 0.303
0.640 0.089 0.697
0.640 0.411 0.197
0.700 0.679 0.172
0.700 0.821 0.672
0.707 0.129 0.148
0.707 0.371 0.648
0.873 0.603 0.511
0.873 0.897 0.011
0.900 0.607 0.933
0.900 0.893 0.433
```

The calculation puts the total DFT energy (no corrections) at -5.2063 eV per atom. For the volume, the calculation gives 18.74 Å³ per atom. The relative energy among the computed polymorphs is 0.02 eV/f.u. For the formation energy, the calculation gives -23.3 eV/f.u.